1.
Y14In3Rh3 | PBE | optimized geometry

Cell and atoms, written as extended XYZ:
```
80
Lattice="9.7101 0.0000 0.0000 0.0000 9.7101 0.0000 0.0000 0.0000 23.6235" Properties=species:S:1:pos:R:3 pbc="T T T"
Y 0.4713 7.2826 4.5718
Y 0.5668 2.4275 22.8271
Y 0.5885 7.2826 12.2007
Y 0.6025 0.6322 2.4702
Y 0.6025 4.2228 2.4702
Y 0.5972 5.4523 17.7176
Y 0.5972 9.1129 17.7176
Y 0.6322 0.6025 14.2819
Y 0.6322 4.2526 14.2819
Y 2.4275 0.5668 11.0153
Y 2.4275 2.4275 5.0906
Y 2.4275 2.4275 16.9023
Y 2.4275 4.2883 11.0153
Y 2.4275 5.3263 7.2400
Y 2.4275 5.4435 23.2345
Y 2.4275 7.2826 15.2623
Y 2.4275 7.2826 20.1729
Y 2.4275 9.1217 23.2345
Y 2.4275 9.2389 7.2400
Y 4.2228 0.6025 14.2819
Y 4.2228 4.2526 14.2819
Y 4.2526 0.6322 2.4702
Y 4.2526 4.2228 2.4702
Y 4.2579 5.4523 17.7176
Y 4.2579 9.1129 17.7176
Y 4.2666 7.2826 12.2007
Y 4.2883 2.4275 22.8271
Y 4.3838 7.2826 4.5718
Y 5.3263 2.4275 19.0517
Y 5.4219 7.2826 0.7964
Y 5.4435 2.4275 11.4227
Y 5.4523 0.5972 5.9059
Y 5.4523 4.2579 5.9059
Y 5.4575 5.4873 21.1533
Y 5.4575 9.0779 21.1533
Y 5.4873 5.4575 9.3416
Y 5.4873 9.1076 9.3416
Y 7.2826 0.4713 16.3835
Y 7.2826 0.5885 0.3890
Y 7.2826 2.4275 3.4506
Y 7.2826 2.4275 8.3611
Y 7.2826 4.2666 0.3890
Y 7.2826 4.3838 16.3835
Y 7.2826 5.4219 12.6081
Y 7.2826 7.2826 6.7212
Y 7.2826 7.2826 18.5329
Y 7.2826 9.1433 12.6081
Y 9.0779 5.4575 9.3416
Y 9.0779 9.1076 9.3416
Y 9.1129 0.5972 5.9059
Y 9.1129 4.2579 5.9059
Y 9.1076 5.4873 21.1533
Y 9.1076 9.0779 21.1533
Y 9.1217 2.4275 11.4227
Y 9.1433 7.2826 0.7964
Y 9.2389 2.4275 19.0517
In 0.8674 2.4275 8.3812
In 2.4275 0.8674 20.1929
In 2.4275 3.9876 20.1929
In 2.4275 7.2826 2.1481
In 2.4275 7.2826 9.6637
In 3.9876 2.4275 8.3812
In 5.7225 7.2826 15.2423
In 7.2826 2.4275 13.9598
In 7.2826 2.4275 21.4754
In 7.2826 5.7225 3.4306
In 7.2826 8.8427 3.4306
In 8.8427 7.2826 15.2423
Rh 0.3034 7.2826 7.3455
Rh 2.4275 2.4275 1.2058
Rh 2.4275 2.4275 13.0175
Rh 2.4275 5.1585 4.4663
Rh 2.4275 9.4067 4.4663
Rh 4.5517 7.2826 7.3455
Rh 5.1585 2.4275 16.2780
Rh 7.2826 0.3034 19.1572
Rh 7.2826 4.5517 19.1572
Rh 7.2826 7.2826 10.6059
Rh 7.2826 7.2826 22.4177
Rh 9.4067 2.4275 16.2780
```

Properties
- Total moment: 0.08 μB per formula unit

2.
BaSeO4 | PBE | optimized geometry

Cell and atoms, written as extended XYZ:
```
24
Lattice="9.1841 0.0000 0.0000 0.0000 5.8259 0.0000 0.0000 0.0000 7.5106" Properties=species:S:1:pos:R:3 pbc="T T T"
Ba 1.6800 1.4565 1.1838
Ba 2.9120 4.3695 4.9390
Ba 6.2720 1.4565 2.5715
Ba 7.5041 4.3695 6.3268
Se 0.5751 1.4565 5.1368
Se 4.0169 4.3695 1.3815
Se 5.1671 1.4565 6.1291
Se 8.6090 4.3695 2.3738
O 0.7345 0.0975 6.1196
O 0.7345 2.8154 6.1196
O 0.9387 4.3695 3.0600
O 1.8209 1.4565 4.0221
O 2.7711 4.3695 0.2669
O 3.6534 1.4565 6.8153
O 3.8576 3.0105 2.3643
O 3.8576 5.7284 2.3643
O 5.3265 0.0975 5.1463
O 5.3265 2.8154 5.1463
O 5.5307 4.3695 0.6953
O 6.4129 1.4565 7.2437
O 7.3632 4.3695 3.4884
O 8.2454 1.4565 4.4506
O 8.4496 3.0105 1.3910
O 8.4496 5.7284 1.3910
```

3.
Er3Pb | PBE | optimized geometry

Cell and atoms, written as extended XYZ:
```
8
Lattice="6.8352 0.0000 0.0000 -3.4176 5.9195 0.0000 0.0000 0.0000 5.6177" Properties=species:S:1:pos:R:3 pbc="T T T"
Er 0.0000 1.9908 1.4044
Er -1.6935 4.9241 1.4044
Er 1.7241 0.9954 4.2133
Er 1.6935 4.9241 1.4044
Er 5.1111 0.9954 4.2133
Er 3.4176 3.9286 4.2133
Pb 0.0000 3.9463 4.2133
Pb 3.4176 1.9732 1.4044
```

no.,energy (eV per atom),E_form (eV per formula unit)
1,-6.55,-10.1
2,-5.90,-12.9
3,-4.59,-0.9